No. 1
Computed, not measured: crystalline RbMn4P3O12 at its relaxed geometry at the PBE+U level of DFT.

Cell: 10.045 16.980 6.533 Å, 90.00 90.00 90.00°
Fractional coordinates of all 80 atoms:
Rb 0.207 0.033 0.000
Rb 0.293 0.533 0.500
Rb 0.707 0.467 0.500
Rb 0.793 0.967 0.000
Mn 0.020 0.140 0.500
Mn 0.040 0.596 0.000
Mn 0.248 0.796 0.249
Mn 0.248 0.796 0.751
Mn 0.252 0.296 0.251
Mn 0.252 0.296 0.749
Mn 0.460 0.096 0.500
Mn 0.480 0.640 0.000
Mn 0.520 0.360 0.000
Mn 0.540 0.904 0.500
Mn 0.748 0.704 0.251
Mn 0.748 0.704 0.749
Mn 0.752 0.204 0.249
Mn 0.752 0.204 0.751
Mn 0.960 0.404 0.000
Mn 0.980 0.860 0.500
P 0.040 0.668 0.500
P 0.041 0.217 0.000
P 0.214 0.963 0.500
P 0.286 0.463 0.000
P 0.459 0.717 0.500
P 0.460 0.168 0.000
P 0.540 0.832 0.000
P 0.541 0.283 0.500
P 0.714 0.537 0.000
P 0.786 0.037 0.500
P 0.959 0.783 0.000
P 0.960 0.332 0.500
O 0.081 0.624 0.306
O 0.081 0.624 0.694
O 0.092 0.177 0.197
O 0.092 0.177 0.803
O 0.106 0.303 0.000
O 0.112 0.753 0.500
O 0.114 0.315 0.500
O 0.114 0.773 0.000
O 0.133 0.478 0.000
O 0.146 0.044 0.500
O 0.170 0.912 0.311
O 0.170 0.912 0.689
O 0.330 0.412 0.189
O 0.330 0.412 0.811
O 0.354 0.544 0.000
O 0.367 0.978 0.500
O 0.386 0.273 0.500
O 0.386 0.815 0.000
O 0.388 0.253 0.000
O 0.394 0.803 0.500
O 0.408 0.677 0.303
O 0.408 0.677 0.697
O 0.419 0.124 0.194
O 0.419 0.124 0.806
O 0.581 0.876 0.194
O 0.581 0.876 0.806
O 0.592 0.323 0.303
O 0.592 0.323 0.697
O 0.606 0.197 0.500
O 0.612 0.747 0.000
O 0.614 0.185 0.000
O 0.614 0.727 0.500
O 0.633 0.022 0.500
O 0.646 0.456 0.000
O 0.670 0.588 0.189
O 0.670 0.588 0.811
O 0.830 0.088 0.311
O 0.830 0.088 0.689
O 0.854 0.956 0.500
O 0.867 0.522 0.000
O 0.886 0.227 0.000
O 0.886 0.685 0.500
O 0.888 0.247 0.500
O 0.894 0.697 0.000
O 0.908 0.823 0.197
O 0.908 0.823 0.803
O 0.919 0.376 0.306
O 0.919 0.376 0.694

## Properties
- calculated volume (Å³/f.u.) = 278.57
- E (MP2020) (eV per atom) = -8.2249



No. 2
Computed, not measured: crystalline MnSb3P6O24 at its relaxed geometry at the PBE+U level of DFT.

Cell: 8.899 8.899 8.899 Å, 58.02 58.02 58.02°
Fractional coordinates of all 34 atoms:
Mn 0.000 0.000 0.000
Sb 0.213 0.213 0.213
Sb 0.500 0.500 0.500
Sb 0.713 0.713 0.713
P 0.106 0.391 0.820
P 0.314 0.896 0.611
P 0.391 0.820 0.106
P 0.611 0.314 0.896
P 0.820 0.106 0.391
P 0.896 0.611 0.314
O 0.075 0.430 0.301
O 0.081 0.224 0.844
O 0.132 0.373 0.989
O 0.140 0.916 0.780
O 0.224 0.844 0.081
O 0.281 0.418 0.638
O 0.301 0.075 0.430
O 0.344 0.724 0.579
O 0.373 0.989 0.132
O 0.418 0.638 0.281
O 0.430 0.301 0.075
O 0.493 0.871 0.628
O 0.577 0.797 0.933
O 0.579 0.344 0.724
O 0.628 0.493 0.871
O 0.638 0.281 0.418
O 0.724 0.579 0.344
O 0.780 0.140 0.916
O 0.797 0.933 0.577
O 0.844 0.081 0.224
O 0.871 0.628 0.493
O 0.916 0.780 0.140
O 0.933 0.577 0.797
O 0.989 0.132 0.373

## Properties
- calculated volume (Å³/f.u.) = 475.71
- E (MP2020) (eV per atom) = -7.4251



No. 3
Computed, not measured: crystalline Ti3Mn2SbP6O24 at its relaxed geometry at the PBE+U level of DFT.

Cell: 8.768 8.768 8.768 Å, 60.14 60.14 60.14°
Fractional coordinates of all 36 atoms:
Ti 0.000 0.000 0.000
Ti 0.207 0.207 0.207
Ti 0.500 0.500 0.500
Mn 0.353 0.353 0.353
Mn 0.855 0.855 0.855
Sb 0.706 0.706 0.706
P 0.115 0.811 0.391
P 0.297 0.602 0.906
P 0.391 0.115 0.811
P 0.602 0.906 0.297
P 0.811 0.391 0.115
P 0.906 0.297 0.602
O 0.044 0.854 0.239
O 0.096 0.276 0.439
O 0.108 0.764 0.919
O 0.189 0.966 0.333
O 0.239 0.044 0.854
O 0.275 0.618 0.405
O 0.276 0.439 0.096
O 0.333 0.189 0.966
O 0.354 0.547 0.737
O 0.405 0.275 0.618
O 0.439 0.096 0.276
O 0.445 0.660 0.887
O 0.547 0.737 0.354
O 0.584 0.962 0.806
O 0.618 0.405 0.275
O 0.660 0.887 0.445
O 0.737 0.354 0.547
O 0.764 0.919 0.108
O 0.806 0.584 0.962
O 0.854 0.239 0.044
O 0.887 0.445 0.660
O 0.919 0.108 0.764
O 0.962 0.806 0.584
O 0.966 0.333 0.189

## Properties
- calculated volume (Å³/f.u.) = 478.16
- E (MP2020) (eV per atom) = -8.2587



No. 4
Computed, not measured: crystalline Mn3VSb2P6O24 at its relaxed geometry at the PBE+U level of DFT.

Cell: 8.910 8.910 8.910 Å, 58.83 58.83 58.83°
Fractional coordinates of all 36 atoms:
Mn 0.000 0.000 0.000
Mn 0.195 0.195 0.195
Mn 0.492 0.492 0.492
V 0.700 0.700 0.700
Sb 0.345 0.345 0.345
Sb 0.859 0.859 0.859
P 0.093 0.394 0.797
P 0.308 0.882 0.596
P 0.394 0.797 0.093
P 0.596 0.308 0.882
P 0.797 0.093 0.394
P 0.882 0.596 0.308
O 0.053 0.233 0.824
O 0.076 0.438 0.293
O 0.113 0.903 0.763
O 0.136 0.373 0.951
O 0.233 0.824 0.053
O 0.257 0.419 0.604
O 0.293 0.076 0.438
O 0.338 0.735 0.537
O 0.373 0.951 0.136
O 0.419 0.604 0.257
O 0.438 0.293 0.076
O 0.460 0.834 0.666
O 0.537 0.338 0.735
O 0.582 0.768 0.924
O 0.604 0.257 0.419
O 0.666 0.460 0.834
O 0.735 0.537 0.338
O 0.763 0.113 0.903
O 0.768 0.924 0.582
O 0.824 0.053 0.233
O 0.834 0.666 0.460
O 0.903 0.763 0.113
O 0.924 0.582 0.768
O 0.951 0.136 0.373

## Properties
- calculated volume (Å³/f.u.) = 486.71
- E (MP2020) (eV per atom) = -7.8526



No. 5
Computed, not measured: crystalline MnV3Sb2P6O24 at its relaxed geometry at the PBE+U level of DFT.

Cell: 8.882 8.882 8.882 Å, 58.92 58.92 58.92°
Fractional coordinates of all 36 atoms:
Mn 0.000 0.000 0.000
V 0.295 0.295 0.295
V 0.502 0.502 0.502
V 0.797 0.797 0.797
Sb 0.145 0.145 0.145
Sb 0.647 0.647 0.647
P 0.111 0.687 0.404
P 0.193 0.606 0.900
P 0.404 0.111 0.687
P 0.606 0.900 0.193
P 0.687 0.404 0.111
P 0.900 0.193 0.606
O 0.034 0.642 0.848
O 0.063 0.215 0.413
O 0.097 0.880 0.242
O 0.144 0.534 0.350
O 0.174 0.756 0.947
O 0.215 0.413 0.063
O 0.242 0.097 0.880
O 0.267 0.646 0.464
O 0.350 0.144 0.534
O 0.386 0.580 0.730
O 0.413 0.063 0.215
O 0.464 0.267 0.646
O 0.534 0.350 0.144
O 0.570 0.919 0.709
O 0.580 0.730 0.386
O 0.642 0.848 0.034
O 0.646 0.464 0.267
O 0.709 0.570 0.919
O 0.730 0.386 0.580
O 0.756 0.947 0.174
O 0.848 0.034 0.642
O 0.880 0.242 0.097
O 0.919 0.709 0.570
O 0.947 0.174 0.756

## Properties
- calculated volume (Å³/f.u.) = 483.30
- E (MP2020) (eV per atom) = -7.9219



No. 6
Computed, not measured: crystalline Mn2SnP3O12 at its relaxed geometry at the PBE+U level of DFT.

Cell: 8.599 8.599 8.599 Å, 61.67 61.67 61.67°
Fractional coordinates of all 36 atoms:
Mn 0.151 0.151 0.151
Mn 0.349 0.349 0.349
Mn 0.651 0.651 0.651
Mn 0.849 0.849 0.849
Sn 0.000 0.000 0.000
Sn 0.500 0.500 0.500
P 0.052 0.750 0.448
P 0.250 0.552 0.948
P 0.448 0.052 0.750
P 0.552 0.948 0.250
P 0.750 0.448 0.052
P 0.948 0.250 0.552
O 0.015 0.823 0.595
O 0.071 0.902 0.245
O 0.095 0.323 0.515
O 0.098 0.755 0.929
O 0.177 0.405 0.985
O 0.245 0.071 0.902
O 0.255 0.598 0.429
O 0.323 0.515 0.095
O 0.402 0.571 0.745
O 0.405 0.985 0.177
O 0.429 0.255 0.598
O 0.485 0.905 0.677
O 0.515 0.095 0.323
O 0.571 0.745 0.402
O 0.595 0.015 0.823
O 0.598 0.429 0.255
O 0.677 0.485 0.905
O 0.745 0.402 0.571
O 0.755 0.929 0.098
O 0.823 0.595 0.015
O 0.902 0.245 0.071
O 0.905 0.677 0.485
O 0.929 0.098 0.755
O 0.985 0.177 0.405

## Properties
- calculated volume (Å³/f.u.) = 233.25
- E (MP2020) (eV per atom) = -7.8281



No. 7
Computed, not measured: crystalline MnSnP2O8 at its relaxed geometry at the PBE+U level of DFT.

Cell: 6.110 10.083 10.251 Å, 89.29 90.00 89.99°
Fractional coordinates of all 48 atoms:
O 0.950 0.387 0.337
O 0.250 0.346 0.134
O 0.450 0.113 0.663
O 0.250 0.088 0.447
O 0.750 0.154 0.866
O 0.250 0.894 0.607
O 0.555 0.379 0.826
O 0.750 0.654 0.866
O 0.055 0.621 0.174
O 0.750 0.821 0.043
O 0.050 0.613 0.663
O 0.450 0.613 0.663
O 0.555 0.879 0.826
O 0.445 0.121 0.174
O 0.050 0.113 0.663
O 0.550 0.887 0.337
O 0.750 0.911 0.553
O 0.750 0.411 0.553
O 0.750 0.605 0.393
O 0.250 0.589 0.447
O 0.445 0.621 0.174
O 0.750 0.106 0.393
O 0.750 0.321 0.043
O 0.250 0.846 0.134
O 0.250 0.395 0.607
O 0.250 0.679 0.957
O 0.950 0.887 0.337
O 0.945 0.379 0.826
O 0.250 0.179 0.956
O 0.055 0.121 0.174
O 0.550 0.387 0.337
O 0.945 0.879 0.826
P 0.250 0.043 0.593
P 0.750 0.304 0.898
P 0.250 0.196 0.102
P 0.750 0.804 0.898
P 0.750 0.457 0.407
P 0.250 0.696 0.102
P 0.750 0.957 0.407
P 0.250 0.543 0.593
Sn 0.250 0.978 0.282
Sn 0.750 0.522 0.718
Sn 0.250 0.478 0.282
Sn 0.750 0.022 0.718
Mn 0.250 0.275 0.776
Mn 0.750 0.725 0.224
Mn 0.250 0.775 0.776
Mn 0.750 0.225 0.224

## Properties
- calculated volume (Å³/f.u.) = 157.89
- E (MP2020) (eV per atom) = -7.7736



No. 8
Computed, not measured: crystalline Ti3Mn2SnP6O24 at its relaxed geometry at the PBE+U level of DFT.

Cell: 8.702 8.702 8.702 Å, 60.28 60.28 60.28°
Fractional coordinates of all 36 atoms:
Ti 0.000 0.000 0.000
Ti 0.210 0.210 0.210
Ti 0.712 0.712 0.712
Mn 0.350 0.350 0.350
Mn 0.855 0.855 0.855
Sn 0.500 0.500 0.500
P 0.104 0.813 0.398
P 0.310 0.608 0.901
P 0.398 0.104 0.813
P 0.608 0.901 0.310
P 0.813 0.398 0.104
P 0.901 0.310 0.608
O 0.045 0.853 0.239
O 0.091 0.295 0.443
O 0.118 0.769 0.918
O 0.168 0.969 0.358
O 0.239 0.045 0.853
O 0.267 0.618 0.412
O 0.295 0.443 0.091
O 0.339 0.548 0.745
O 0.358 0.168 0.969
O 0.412 0.267 0.618
O 0.443 0.091 0.295
O 0.471 0.665 0.857
O 0.548 0.745 0.339
O 0.590 0.944 0.796
O 0.618 0.412 0.267
O 0.665 0.857 0.471
O 0.745 0.339 0.548
O 0.769 0.918 0.118
O 0.796 0.590 0.944
O 0.853 0.239 0.045
O 0.857 0.471 0.665
O 0.918 0.118 0.769
O 0.944 0.796 0.590
O 0.969 0.358 0.168

## Properties
- calculated volume (Å³/f.u.) = 468.88
- E (MP2020) (eV per atom) = -8.2689